(1)
The following is a PBE with a Hubbard U calculation of Li3MnV4O12 after structural relaxation, from the Materials Project database.

The formation energy is -2.361 eV per atom. As for the space group: C2 (5). Its density is 2.99 g cm⁻³. The value obtained for the raw total energy is -7.055 eV per atom.

Cell: 6.961 6.961 5.840 Å, 74.16 74.16 83.13°
Sites, in units of the cell vectors:
V (0.799, 0.607, 0.521)
V (0.610, 0.803, 0.022)
V (0.393, 0.201, 0.479)
V (0.197, 0.390, 0.978)
O (0.791, 0.980, 0.913)
O (0.897, 0.371, 0.581)
O (0.629, 0.103, 0.419)
O (0.103, 0.633, 0.912)
O (0.643, 0.638, 0.313)
O (0.362, 0.357, 0.687)
O (0.020, 0.209, 0.087)
O (0.367, 0.897, 0.088)
O (0.357, 0.353, 0.191)
O (0.984, 0.778, 0.396)
O (0.222, 0.016, 0.604)
O (0.647, 0.643, 0.809)
Li (0.755, 0.245, 0.000)
Li (0.900, 0.100, 0.500)
Li (0.238, 0.762, 0.500)
Mn (0.085, 0.915, 0.000)


(2)
The following is a PBE with a Hubbard U calculation of Li9Mn2Co5O16 after structural relaxation, from the Materials Project database.

The formation energy is -1.804 eV per atom. As for the space group: Pm (6). Its density is 4.18 g cm⁻³. The value obtained for the raw total energy is -5.795 eV per atom.

Cell: 2.902 9.782 10.277 Å, 79.64 90.00 90.00°
Sites, in units of the cell vectors:
Li (0.500, 0.003, 0.754)
Li (0.500, 0.496, 0.492)
Li (0.500, 0.996, 0.244)
Li (0.000, 0.741, 0.892)
Li (0.500, 0.750, 0.129)
Li (0.500, 0.498, 0.009)
Li (0.000, 0.253, 0.623)
Li (0.000, 0.755, 0.357)
Li (0.000, 0.255, 0.128)
Mn (0.500, 0.750, 0.626)
Mn (0.000, 0.990, 0.007)
O (0.000, 0.862, 0.679)
O (0.000, 0.133, 0.320)
O (0.000, 0.886, 0.174)
O (0.000, 0.641, 0.572)
O (0.500, 0.628, 0.798)
O (0.500, 0.615, 0.311)
O (0.500, 0.116, 0.557)
O (0.000, 0.121, 0.826)
O (0.000, 0.367, 0.932)
O (0.500, 0.377, 0.693)
O (0.500, 0.877, 0.453)
O (0.500, 0.110, 0.053)
O (0.500, 0.380, 0.196)
O (0.500, 0.888, 0.945)
O (0.000, 0.370, 0.430)
O (0.000, 0.616, 0.070)
Co (0.000, 0.517, 0.236)
Co (0.500, 0.248, 0.874)
Co (0.000, 0.494, 0.753)
Co (0.500, 0.259, 0.371)
Co (0.000, 0.007, 0.496)


(3)
The following is a PBE with a Hubbard U calculation of Li5Co3O8 after structural relaxation, from the Materials Project database.

The formation energy is -1.698 eV per atom. As for the space group: P-1 (2). Its density is 3.99 g cm⁻³. The value obtained for the raw total energy is -5.451 eV per atom.

Cell: 4.991 5.799 5.918 Å, 60.56 75.28 73.02°
Sites, in units of the cell vectors:
O (0.235, 0.619, 0.600)
O (0.761, 0.402, 0.380)
O (0.247, 0.646, 0.115)
O (0.225, 0.148, 0.619)
O (0.765, 0.881, 0.900)
O (0.775, 0.352, 0.881)
O (0.239, 0.098, 0.120)
O (0.753, 0.854, 0.385)
Co (0.999, 0.004, 0.991)
Co (0.001, 0.496, 0.509)
Co (0.500, 0.750, 0.250)
Li (0.500, 0.750, 0.750)
Li (0.990, 0.003, 0.500)
Li (0.500, 0.250, 0.250)
Li (0.500, 0.250, 0.750)
Li (0.010, 0.497, 0.000)


(4)
The following is a PBE with a Hubbard U calculation of FeSO10 after structural relaxation, from the Materials Project database.

The formation energy is -0.368 eV per atom. As for the space group: R-3 (148). Its density is 2.01 g cm⁻³. The value obtained for the raw total energy is -5.354 eV per atom.

Cell: 13.663 13.663 13.663 Å, 116.38 116.38 116.38°
Sites, in units of the cell vectors:
O (0.265, 0.128, 0.696)
O (0.919, 0.221, 0.531)
O (0.735, 0.872, 0.304)
O (0.295, 0.699, 0.442)
O (0.917, 0.173, 0.319)
O (0.221, 0.531, 0.919)
O (0.558, 0.705, 0.301)
O (0.020, 0.907, 0.960)
O (0.827, 0.681, 0.083)
O (0.642, 0.064, 0.706)
O (0.426, 0.169, 0.969)
O (0.696, 0.265, 0.128)
O (0.413, 0.404, 0.059)
O (0.705, 0.301, 0.558)
O (0.522, 0.459, 0.408)
O (0.093, 0.040, 0.980)
O (0.442, 0.295, 0.699)
O (0.408, 0.522, 0.459)
O (0.404, 0.059, 0.413)
O (0.459, 0.408, 0.522)
O (0.831, 0.031, 0.574)
O (0.969, 0.426, 0.169)
O (0.574, 0.831, 0.031)
O (0.699, 0.442, 0.295)
O (0.128, 0.696, 0.265)
O (0.980, 0.093, 0.040)
O (0.153, 0.526, 0.152)
O (0.064, 0.706, 0.642)
O (0.031, 0.574, 0.831)
O (0.040, 0.980, 0.093)
O (0.587, 0.596, 0.941)
O (0.304, 0.735, 0.872)
O (0.294, 0.358, 0.936)
O (0.059, 0.413, 0.404)
O (0.541, 0.592, 0.478)
O (0.596, 0.941, 0.587)
O (0.173, 0.319, 0.917)
O (0.474, 0.848, 0.847)
O (0.081, 0.779, 0.469)
O (0.152, 0.153, 0.526)
O (0.847, 0.474, 0.848)
O (0.358, 0.936, 0.294)
O (0.469, 0.081, 0.779)
O (0.531, 0.919, 0.221)
O (0.941, 0.587, 0.596)
O (0.592, 0.478, 0.541)
O (0.706, 0.642, 0.064)
O (0.319, 0.917, 0.173)
O (0.526, 0.152, 0.153)
O (0.907, 0.960, 0.020)
O (0.872, 0.304, 0.735)
O (0.478, 0.541, 0.592)
O (0.936, 0.294, 0.358)
O (0.301, 0.558, 0.705)
O (0.779, 0.469, 0.081)
O (0.681, 0.083, 0.827)
O (0.848, 0.847, 0.474)
O (0.083, 0.827, 0.681)
O (0.169, 0.969, 0.426)
O (0.960, 0.020, 0.907)
S (0.140, 0.587, 0.258)
S (0.742, 0.860, 0.413)
S (0.860, 0.413, 0.742)
S (0.258, 0.140, 0.587)
S (0.587, 0.258, 0.140)
S (0.413, 0.742, 0.860)
Fe (0.278, 0.999, 0.716)
Fe (0.999, 0.716, 0.278)
Fe (0.722, 0.001, 0.284)
Fe (0.284, 0.722, 0.001)
Fe (0.716, 0.278, 0.999)
Fe (0.001, 0.284, 0.722)